a) Computed, not measured: a relaxed structure of Sc2Se3O10 at the PBE level of DFT.

Structure (POSCAR):
```
Sc2Se3O10
1.0
6.639 0.000 0.000
0.000 11.053 0.000
-2.956 0.000 12.578
Sc Se O
8 12 40
Cartesian
0.113 1.743 5.148
-1.365 3.784 11.437
0.165 7.806 6.718
1.643 8.773 0.429
2.040 2.279 12.149
3.518 3.247 5.860
5.048 7.269 1.141
3.570 9.310 7.431
-1.399 7.174 9.795
0.079 9.405 3.505
1.781 1.160 0.558
0.303 4.366 6.847
1.685 5.861 1.875
0.207 10.717 8.164
3.477 0.335 4.414
1.999 5.191 10.703
3.380 6.687 5.732
1.902 9.892 12.021
3.604 1.648 9.073
5.083 3.879 2.784
0.471 2.171 0.020
-1.007 3.356 6.309
-1.722 2.441 9.719
-0.244 3.085 3.430
-1.844 5.652 10.289
-0.366 10.927 3.999
0.588 7.011 1.114
-0.890 9.568 7.403
0.130 5.822 5.990
-1.348 10.757 12.279
-0.825 8.060 11.079
0.653 8.519 4.790
-0.138 7.004 8.692
1.340 9.575 2.403
0.409 0.816 6.940
1.888 4.710 0.651
-0.077 2.040 12.093
1.401 3.486 5.804
2.132 1.409 4.598
0.654 4.118 10.887
3.029 6.935 1.691
1.551 9.644 7.980
2.282 7.567 6.774
3.760 9.012 0.485
1.796 6.342 11.927
3.274 10.237 5.638
2.343 1.477 10.176
3.821 4.049 3.887
3.030 2.533 7.789
4.508 2.993 1.499
5.031 0.296 0.300
3.553 5.230 6.589
4.573 1.485 5.176
3.095 4.042 11.465
4.049 0.125 8.579
5.527 5.401 2.290
3.927 7.968 9.148
5.405 8.611 2.859
4.690 7.697 6.270
3.212 8.882 12.559
```

Computed properties:
Calculated volume = 923.0 Å³ per cell
Space-group type = No. 14

b) Computed, not measured: a relaxed structure of Sc2Se3O10 at the PBE level of DFT.

Structure (POSCAR):
```
Sc2Se3O10
1.0
6.672 0.000 0.000
0.000 11.333 0.000
0.000 0.000 12.575
Sc Se O
8 12 40
Cartesian
1.416 0.504 0.204
1.480 6.751 11.699
1.856 4.582 5.412
1.920 10.829 6.492
4.753 5.163 12.371
4.817 10.248 0.876
5.192 1.085 7.163
5.256 6.170 6.083
1.156 9.880 9.815
1.307 3.899 0.535
1.356 9.052 1.878
1.980 2.281 8.166
2.029 7.434 6.822
2.180 1.453 3.528
4.492 7.119 2.760
4.643 1.767 12.040
4.692 7.947 10.697
5.317 3.386 4.409
5.366 9.566 5.753
5.516 4.214 9.047
0.207 4.918 12.203
0.337 10.046 0.844
0.570 1.368 7.698
0.722 6.374 6.393
1.152 1.271 2.161
1.351 5.653 3.586
1.461 2.846 4.256
1.491 7.609 1.000
1.507 2.550 12.086
1.652 0.175 4.536
1.684 11.158 10.823
1.829 8.783 5.799
1.846 3.724 7.288
1.875 8.486 10.543
1.986 5.680 9.874
2.184 10.062 8.449
2.614 4.959 0.105
2.766 9.965 1.411
2.999 1.287 7.131
3.129 6.415 5.916
3.544 0.749 0.372
3.674 6.953 11.731
3.906 4.299 4.877
4.058 10.625 6.182
4.488 4.395 10.414
4.687 0.013 8.989
4.797 2.820 8.319
4.827 9.391 11.575
4.844 3.116 0.489
4.988 5.492 8.039
5.021 5.841 1.752
5.165 8.216 6.776
5.182 1.942 5.287
5.211 8.513 2.032
5.322 11.319 2.701
5.520 6.938 4.126
5.951 0.708 12.470
6.102 7.034 11.164
6.335 4.379 5.444
6.465 10.584 6.659
```

Computed properties:
Calculated volume = 950.9 Å³ per cell
Space-group type = No. 19

Going by the energies, a) is most stable and the next is 20.7 kJ/mol of atoms up.

a) Computed, not measured: a relaxed structure of Sc2Si2O7 at the PBE level of DFT.

Structure (POSCAR):
```
Sc2Si2O7
1.0
3.279 -4.296 0.000
3.279 4.296 0.000
-1.056 0.000 4.618
Sc Si O
2 2 7
Cartesian
3.279 2.666 0.000
3.279 -2.666 0.000
1.186 0.000 2.740
4.317 0.000 1.878
0.395 0.000 1.295
0.907 1.353 3.641
0.907 -1.353 3.641
2.751 0.000 2.309
4.596 1.353 0.977
4.596 -1.353 0.977
5.107 0.000 3.323
```

Computed properties:
Calculated volume = 130.1 Å³ per cell
Space-group type = No. 12

b) Computed, not measured: a relaxed structure of Sc2Si2O7 at the PBE level of DFT.

Structure (POSCAR):
```
Sc2Si2O7
1.0
0.000 4.686 4.686
4.686 0.000 4.686
4.686 4.686 0.000
Sc Si O
4 4 14
Cartesian
0.000 0.000 0.000
2.343 2.343 0.000
2.343 0.000 2.343
0.000 2.343 2.343
4.686 2.343 2.343
2.343 4.686 2.343
2.343 2.343 4.686
4.686 4.686 4.686
1.172 1.172 1.172
3.515 3.515 1.647
3.515 1.647 3.515
5.383 3.515 3.515
5.858 5.858 3.990
5.858 3.990 5.858
7.726 5.858 5.858
1.647 3.515 3.515
3.515 5.383 3.515
3.515 3.515 5.383
3.990 5.858 5.858
5.858 7.726 5.858
5.858 5.858 7.726
8.201 8.201 8.201
```

Computed properties:
Calculated volume = 205.8 Å³ per cell
Space-group type = No. 227

Going by the energies, a) is most stable and the next is 8.2 kJ/mol of atoms up.

a) Computed, not measured: a relaxed structure of Sc2Ti2O7 at the PBE level of DFT.

Structure (POSCAR):
```
Sc2Ti2O7
1.0
7.364 0.000 0.000
0.000 5.098 0.000
-3.633 0.000 25.676
Sc Ti O
16 16 56
Cartesian
0.006 0.000 7.163
-1.594 4.769 20.506
-1.787 2.114 23.901
-0.001 2.336 11.969
1.880 4.902 0.858
0.013 4.659 14.600
-0.091 2.196 17.895
1.818 2.607 5.706
1.913 0.058 19.970
3.822 4.745 7.781
3.718 2.110 11.076
1.851 2.353 24.818
3.732 4.885 13.707
5.518 4.663 1.776
5.325 2.220 5.170
3.725 2.549 18.513
-1.828 2.247 14.431
0.041 2.245 1.539
-1.895 4.840 17.017
0.045 4.811 4.147
1.829 2.236 8.716
0.131 2.330 21.468
1.825 4.783 11.308
0.058 4.822 24.046
3.673 2.273 1.630
1.906 2.234 14.368
3.600 4.879 4.208
1.903 4.785 16.960
3.686 2.262 21.529
5.627 2.291 8.659
3.690 4.795 24.137
5.559 4.796 11.245
-1.459 3.016 10.610
-3.084 0.710 22.741
-2.137 1.402 17.697
-0.390 3.654 5.557
-3.102 1.175 25.376
-1.305 3.697 13.177
0.411 0.517 2.292
-1.207 3.218 15.865
0.304 1.124 5.406
-1.502 3.835 18.624
0.023 1.558 8.594
-1.797 2.971 21.755
0.009 0.325 11.295
-1.795 4.080 24.564
0.027 1.526 13.931
1.862 2.884 1.533
0.030 0.399 16.669
1.850 4.127 4.244
-0.223 1.310 19.838
-0.563 0.706 22.622
1.594 3.721 7.515
1.469 3.041 10.579
-0.463 1.151 25.317
1.342 3.718 13.148
0.411 3.993 20.805
2.333 1.164 7.303
1.304 3.209 15.792
3.325 0.489 2.247
0.406 3.038 23.429
2.427 0.660 9.884
1.398 3.713 18.373
3.320 1.444 4.872
2.389 1.169 12.528
4.194 3.700 0.359
2.262 0.492 15.098
2.137 1.172 18.161
4.295 3.255 3.054
3.954 3.859 5.838
1.881 1.578 21.432
3.701 2.948 9.008
1.870 0.335 24.143
3.705 4.075 11.745
5.526 1.531 1.112
3.722 2.874 14.381
5.529 0.421 3.921
3.708 4.107 17.082
5.233 1.286 7.052
3.427 3.674 20.270
4.938 0.669 9.811
3.320 3.066 23.384
5.037 1.148 12.500
6.834 3.724 0.300
4.122 1.105 20.119
5.868 3.951 7.979
6.816 3.260 2.935
5.190 0.467 15.066
```

Computed properties:
Calculated volume = 964.0 Å³ per cell
Space-group type = No. 4

b) Computed, not measured: a relaxed structure of Sc2Ti2O7 at the PBE level of DFT.

Structure (POSCAR):
```
Sc2Ti2O7
1.0
3.206 -4.494 0.000
3.206 4.494 0.000
-0.927 0.000 5.138
Sc Ti O
2 2 7
Cartesian
3.206 2.808 0.000
3.206 -2.808 0.000
1.009 0.000 3.113
4.476 0.000 2.025
0.186 0.000 1.378
0.999 1.551 4.114
0.999 -1.551 4.114
2.743 0.000 2.569
4.487 1.551 1.024
4.487 -1.551 1.024
5.299 0.000 3.760
```

Computed properties:
Calculated volume = 148.1 Å³ per cell
Space-group type = No. 12

Going by the energies, b) is most stable and the next is 5.5 kJ/mol of atoms up.

a) Computed, not measured: a relaxed structure of Sm2Se3O20 at the PBE level of DFT.

Structure (POSCAR):
```
Sm2Se3O20
1.0
3.497 -6.554 0.000
3.497 6.554 0.000
-1.186 0.000 18.287
Sm Se O
4 6 40
Cartesian
1.137 0.884 7.271
0.544 -0.884 16.414
5.264 0.884 1.873
4.671 -0.884 11.017
1.112 0.846 10.951
3.201 2.376 4.572
1.705 -0.846 1.807
4.104 0.846 16.480
2.608 -2.376 13.716
4.697 -0.846 7.337
0.149 1.290 15.046
0.682 1.538 9.479
0.525 0.262 2.272
-0.068 -0.262 11.416
0.542 1.397 17.166
1.282 1.973 12.156
2.586 3.236 3.229
2.523 3.707 11.751
1.949 1.411 5.126
2.693 3.707 15.680
0.742 -1.290 5.902
2.797 2.672 7.887
1.275 -1.538 0.335
3.605 2.672 1.257
1.135 -1.397 8.022
3.816 3.236 5.914
1.356 -1.411 14.269
1.875 -1.973 3.012
3.115 0.029 1.550
2.522 -0.029 10.694
3.287 0.029 7.593
2.694 -0.029 16.737
3.934 1.973 15.275
4.452 1.411 4.018
1.993 -3.236 12.373
4.673 1.397 10.265
2.204 -2.672 17.030
4.534 1.538 17.952
3.012 -2.672 10.401
5.067 1.290 12.385
3.116 -3.707 2.607
3.859 -1.411 13.162
3.286 -3.707 6.537
3.223 -3.236 15.058
4.527 -1.973 6.132
5.266 -1.397 1.122
5.876 0.262 6.871
5.283 -0.262 16.015
5.126 -1.538 8.808
5.660 -1.290 3.241
```

Computed properties:
Calculated volume = 838.3 Å³ per cell
Space-group type = No. 15

b) Computed, not measured: a relaxed structure of Sm2Se3O20 at the PBE level of DFT.

Structure (POSCAR):
```
Sm2Se3O20
1.0
7.014 -3.396 0.000
7.014 3.396 0.000
-4.945 0.000 19.767
Sm Se O
4 6 40
Cartesian
0.083 0.122 7.710
-2.390 -0.122 17.594
11.473 0.122 2.173
9.001 -0.122 12.057
2.545 0.155 1.652
0.072 -0.155 11.535
3.305 1.551 14.825
5.778 -1.551 4.942
9.011 0.155 8.232
6.539 -0.155 18.115
2.089 2.571 14.244
0.875 1.309 11.552
2.109 0.449 0.064
3.592 1.336 2.204
1.197 0.190 2.686
-1.276 -0.190 12.570
5.016 2.192 7.442
6.540 2.192 2.441
-0.364 -0.449 9.947
3.898 1.832 11.767
4.522 2.571 15.406
2.713 1.832 17.884
2.739 0.081 6.881
0.266 -0.081 16.764
0.694 0.015 17.922
3.167 -0.015 8.039
2.794 0.564 16.089
3.816 0.564 13.562
3.348 -1.309 1.668
1.119 -1.336 12.087
7.964 1.336 7.680
5.736 1.309 18.099
5.267 -0.564 6.205
6.289 -0.564 3.678
5.916 0.015 11.728
8.389 -0.015 1.845
8.818 0.081 3.003
6.345 -0.081 12.886
6.371 -1.832 1.883
4.562 -2.571 4.361
5.185 -1.832 8.000
9.447 0.449 9.820
2.544 -2.192 17.326
4.067 -2.192 12.325
10.359 0.190 7.197
7.886 -0.190 17.081
5.491 -1.336 17.563
6.975 -0.449 19.703
8.208 -1.309 8.216
6.995 -2.571 5.523
```

Computed properties:
Calculated volume = 941.7 Å³ per cell
Space-group type = No. 15

Going by the energies, a) is most stable and the next is 1.2 kJ/mol of atoms up.